This record from the Materials Project database describes a geometry-optimized Ho2Al3Si2 structure. The functional is GGA-PBE.

Cell and atoms, written as extended XYZ:
```
7
Lattice="5.084 -2.011 0.000 5.084 2.011 0.000 -1.252 0.000 6.493" Properties=species:S:1:pos:R:3 pbc="T T T"
Ho 0.815 0.000 2.098
Ho 8.101 0.000 4.396
Al 0.894 0.000 5.626
Al 5.084 0.000 0.000
Al 8.021 0.000 0.867
Si 3.685 0.000 2.338
Si 5.230 0.000 4.156
```

Values from the calculation:
The calculation puts the energy of formation from the pure elements at -0.524 eV/atom. The value obtained for the calculated total energy is -5.009 eV/atom.

=====

This record from the Materials Project database describes a geometry-optimized MgMoW3Se6S2 structure. The functional is GGA-PBE.

Cell and atoms, written as extended XYZ:
```
13
Lattice="3.290 0.000 0.000 -1.645 2.849 0.000 0.000 0.000 45.261" Properties=species:S:1:pos:R:3 pbc="T T T"
Mg 0.000 0.000 0.000
Mo 1.645 0.950 40.675
W 0.000 1.899 4.564
W 0.000 1.899 32.471
W 1.645 0.950 12.720
Se 0.000 1.899 11.028
Se 0.000 1.899 14.414
Se 0.000 1.899 38.993
Se 0.000 1.899 42.378
Se 1.645 0.950 30.775
Se 1.645 0.950 34.166
S 1.645 0.950 3.024
S 1.645 0.950 6.095
```

Values from the calculation:
The calculation puts the energy of formation from the pure elements at -0.635 eV/atom. The value obtained for the calculated total energy is -6.755 eV/atom. The calculation puts the size of the total moment at 0.03 μB per cell.

=====

This record from the Materials Project database describes a geometry-optimized EuU3 structure. The functional is GGA-PBE.

Cell and atoms, written as extended XYZ:
```
4
Lattice="4.491 0.000 0.000 0.000 4.491 0.000 0.000 0.000 4.491" Properties=species:S:1:pos:R:3 pbc="T T T"
Eu 0.000 0.000 0.000
U 0.000 2.246 2.246
U 2.246 0.000 2.246
U 2.246 2.246 0.000
```

Values from the calculation:
The calculation puts the energy of formation from the pure elements at 0.728 eV/atom. The value obtained for the calculated total energy is -10.305 eV/atom. The calculation puts the size of the total moment at 2.88 μB per cell.

=====

This record from the Materials Project database describes a geometry-optimized K2Re3C2Se5N2 structure. The functional is GGA-PBE.

Cell and atoms, written as extended XYZ:
```
56
Lattice="9.807 0.000 0.000 0.000 13.260 0.000 -6.767 0.000 10.391" Properties=species:S:1:pos:R:3 pbc="T T T"
K 0.913 2.277 0.017
K -2.470 4.353 5.213
K 0.435 7.423 3.395
K -2.948 12.466 8.590
K 5.988 0.793 1.801
K 2.604 5.836 6.996
K 5.510 8.907 5.179
K 2.127 10.983 10.374
Re -3.702 7.024 10.382
Re -0.319 12.865 5.187
Re -1.812 6.840 8.520
Re 1.572 13.049 3.324
Re 1.131 1.832 4.993
Re -2.252 4.798 10.189
Re 5.292 8.462 0.203
Re 1.909 11.428 5.398
Re 1.468 0.210 7.067
Re 4.852 6.419 1.872
Re 3.358 0.394 5.205
Re 6.742 6.236 0.009
C -1.730 7.180 6.458
C 1.653 12.710 1.262
C -2.647 2.756 9.981
C 0.736 3.873 4.785
C 2.303 9.386 5.606
C 5.687 10.503 0.410
C 1.387 0.550 9.129
C 4.770 6.080 3.934
Se -6.197 7.683 10.278
Se -2.814 12.206 5.082
Se -0.565 1.207 3.200
Se -3.948 5.423 8.395
Se -3.218 8.960 8.793
Se 0.165 10.930 3.598
Se -0.680 1.553 6.779
Se 2.704 5.077 1.583
Se 3.481 8.572 1.987
Se 0.098 11.317 7.183
Se 2.942 1.942 3.208
Se -0.442 4.687 8.404
Se 0.336 8.183 8.808
Se 3.719 11.707 3.613
Se 2.875 2.330 6.794
Se 6.258 4.300 1.598
Se 6.988 7.837 1.996
Se 3.605 12.052 7.191
Se 5.854 1.054 5.309
Se 9.237 5.576 0.113
N -1.719 7.411 5.302
N 1.664 12.478 0.106
N -2.875 1.605 9.855
N 0.509 5.025 4.659
N 2.531 8.235 5.732
N 5.915 11.654 0.536
N 1.376 0.781 10.285
N 4.759 5.848 5.089
```

Values from the calculation:
The calculation puts the energy of formation from the pure elements at -0.519 eV/atom. The value obtained for the calculated total energy is -7.051 eV/atom. The calculation puts the size of the total moment at 0.00 μB per cell.

=====

This record from the Materials Project database describes a geometry-optimized Na3Hf2Zn2P3S3O24 structure. The functional is GGA-PBE.

Cell and atoms, written as extended XYZ:
```
111
Lattice="8.857 0.000 0.000 4.419 7.686 0.000 0.032 0.048 22.856" Properties=species:S:1:pos:R:3 pbc="T T T"
Na 0.000 0.000 0.000
Na 0.082 0.092 11.418
Na 5.720 5.164 13.331
Na 4.405 2.622 3.764
Na 4.467 2.521 15.208
Na 8.873 5.289 19.125
Na 8.927 5.271 7.707
Na 7.734 2.620 9.597
Na 10.071 2.639 21.026
Hf 0.057 0.097 3.467
Hf 4.430 2.617 7.170
Hf 4.505 2.638 18.605
Hf 8.855 5.217 15.752
Hf 8.924 5.129 4.325
Hf 8.910 0.162 14.908
Zn 0.027 0.041 19.344
Zn 4.479 7.697 7.909
Zn 4.387 2.619 0.499
Zn 4.469 2.491 11.937
Zn 8.863 5.233 11.193
Zn 8.910 5.199 22.602
P 5.749 5.549 17.220
P 2.612 0.028 5.805
P 7.612 7.459 13.357
P 7.601 2.948 13.314
P 7.606 2.288 5.838
P 6.338 0.058 17.244
P 10.206 2.925 1.887
P 10.187 2.340 17.281
P 12.032 5.533 5.801
S 1.873 2.631 9.617
S 3.203 4.923 21.032
S 5.735 4.895 9.615
S 3.197 0.379 21.040
S 6.294 5.163 1.937
S 7.062 2.648 21.055
S 5.767 0.356 9.592
S 10.164 7.423 1.933
S 11.480 5.194 13.367
O 0.991 1.439 9.483
O 3.797 6.252 20.871
O 1.080 1.440 16.033
O 3.801 6.170 4.536
O 2.743 2.775 8.390
O 3.473 4.028 19.827
O 3.520 4.018 13.285
O 2.877 2.779 1.852
O 2.715 2.467 10.807
O 3.771 4.287 22.232
O 3.803 4.105 5.939
O 2.880 2.477 17.383
O 1.718 0.290 20.887
O 5.136 6.224 9.451
O 1.729 0.268 4.546
O 5.140 6.153 15.919
O 6.047 7.536 13.579
O 5.417 6.375 2.124
O 5.566 6.388 18.455
O 6.234 7.469 7.062
O 3.430 1.239 22.221
O 5.195 4.274 10.847
O 5.123 4.123 17.368
O 3.511 1.304 5.930
O 3.793 1.173 13.286
O 5.436 3.991 8.428
O 3.777 1.062 19.816
O 5.457 3.954 1.856
O 7.091 5.418 0.734
O 7.748 6.558 12.128
O 7.280 5.341 17.015
O 7.960 6.503 5.542
O 7.160 5.021 3.148
O 8.214 6.753 14.612
O 8.253 6.739 21.133
O 7.230 4.945 9.642
O 6.056 2.881 13.267
O 5.154 1.084 1.853
O 5.178 1.045 8.378
O 6.192 2.800 19.828
O 6.060 2.448 5.950
O 5.428 1.329 17.362
O 6.219 2.481 22.246
O 5.550 1.215 10.777
O 7.918 3.873 21.093
O 9.553 6.717 9.686
O 7.919 3.864 14.543
O 9.585 6.763 3.145
O 8.198 3.702 5.576
O 9.833 6.522 17.006
O 9.961 6.611 0.731
O 8.221 3.500 12.024
O 7.210 0.289 15.979
O 7.865 1.398 4.593
O 7.247 0.271 9.442
O 7.949 1.462 20.918
O 8.210 1.753 7.126
O 11.554 7.510 18.499
O 11.654 7.542 2.124
O 8.220 1.536 13.552
O 9.593 3.739 17.006
O 10.503 5.330 5.568
O 10.691 5.427 12.164
O 9.577 3.484 0.602
O 9.853 3.821 3.123
O 9.875 3.853 9.660
O 10.563 4.979 21.092
O 10.638 5.028 14.580
O 12.194 6.349 7.058
O 9.590 1.786 18.564
O 9.538 1.518 2.127
O 12.377 6.403 13.545
```

Values from the calculation:
The calculation puts the energy of formation from the pure elements at -2.574 eV/atom. The value obtained for the calculated total energy is -6.826 eV/atom. The calculation puts the size of the total moment at 0.00 μB per cell.

=====

This record from the Materials Project database describes a geometry-optimized K2Te2O5 structure. The functional is GGA-PBE.

Cell and atoms, written as extended XYZ:
```
36
Lattice="7.911 0.000 0.000 0.000 15.486 0.000 -0.372 0.000 5.598" Properties=species:S:1:pos:R:3 pbc="T T T"
K 0.848 2.800 1.325
K 0.662 4.943 4.124
K 2.676 1.040 4.289
K 2.862 6.703 1.490
K 4.677 8.782 4.108
K 4.863 14.446 1.309
K 6.877 10.543 1.474
K 6.691 12.686 4.273
Te 0.667 8.765 4.193
Te 0.853 14.464 1.394
Te 3.233 10.596 1.117
Te 3.047 12.633 3.916
Te 4.492 2.853 1.682
Te 4.306 4.890 4.481
Te 6.686 1.022 4.203
Te 6.872 6.721 1.405
O 0.167 2.275 4.063
O 0.352 5.468 1.264
O 0.995 8.767 2.341
O 0.809 14.462 5.139
O 2.166 9.885 4.722
O 2.352 13.343 1.924
O 3.324 1.415 1.496
O 3.138 6.328 4.295
O 3.151 3.778 5.592
O 3.337 3.965 2.793
O 4.202 11.521 2.805
O 4.388 11.707 0.006
O 4.401 9.158 1.303
O 4.215 14.071 4.101
O 5.187 2.142 3.674
O 5.373 5.601 0.875
O 6.730 1.024 0.458
O 6.544 6.719 3.257
O 7.186 10.018 4.334
O 7.372 13.211 1.535
```

Values from the calculation:
The calculation puts the energy of formation from the pure elements at -1.780 eV/atom. The value obtained for the calculated total energy is -5.092 eV/atom.

=====

Question: energy of formation from the pure elements of number 3 (EuU3)?
Answer: 0.728 eV/atom

=====

Question: Among the records above, which one has the lowest calculated total energy?
Answer: EuU3